1.
Sr2MgTeO6 PBE relaxed; uncorrected energy = -60.89 eV/cell; formation enthalpy at 0 K = -27.2 eV per formula unit; calculated density = 5.4 g/cm3; SG = C2/m, No. 12
1.0
2.836 4.910 0.000
-2.836 4.910 0.000
0.000 3.307 4.638
Sr Mg Te O
2 1 1 6
Direct
0.250 0.250 0.748 Sr
0.750 0.750 0.252 Sr
0.000 0.000 0.500 Mg
0.500 0.500 0.000 Te
0.741 0.741 0.801 O
0.259 0.259 0.199 O
0.720 0.236 0.262 O
0.764 0.280 0.738 O
0.280 0.764 0.738 O
0.236 0.720 0.262 O


2.
Sr6MgTe8O22 PBE relaxed; uncorrected energy = -212.54 eV/cell; formation enthalpy at 0 K = -81.9 eV per formula unit; calculated density = 4.7 g/cm3; SG = P1, No. 1; ΔE to the lowest computed polymorph = 0.270 eV/f.u.
1.0
7.425 0.165 -2.888
-2.533 9.565 -1.745
-0.366 -0.569 9.901
Sr Mg Te O
6 1 8 22
Direct
0.280 0.005 0.148 Sr
0.711 0.938 0.884 Sr
0.823 0.050 0.335 Sr
0.145 0.882 0.693 Sr
0.323 0.547 0.609 Sr
0.678 0.495 0.343 Sr
0.276 0.192 0.612 Mg
0.057 0.306 0.237 Te
0.915 0.628 0.769 Te
0.017 0.194 0.812 Te
0.974 0.752 0.229 Te
0.441 0.687 0.033 Te
0.560 0.308 0.935 Te
0.493 0.822 0.464 Te
0.629 0.276 0.575 Te
0.001 0.594 0.615 O
0.993 0.462 0.323 O
0.431 0.632 0.350 O
0.587 0.461 0.555 O
0.820 0.170 0.122 O
0.158 0.762 0.923 O
0.759 0.107 0.742 O
0.277 0.880 0.338 O
0.402 0.803 0.610 O
0.591 0.190 0.365 O
0.036 0.112 0.626 O
0.962 0.843 0.411 O
0.459 0.327 0.076 O
0.485 0.723 0.871 O
0.525 0.877 0.161 O
0.425 0.117 0.801 O
0.935 0.898 0.135 O
0.095 0.059 0.912 O
0.141 0.240 0.415 O
0.807 0.773 0.711 O
0.690 0.640 0.139 O
0.392 0.379 0.781 O


3.
Sr6MgTe8O22 PBE relaxed; uncorrected energy = -212.81 eV/cell; formation enthalpy at 0 K = -82.2 eV per formula unit; calculated density = 4.9 g/cm3; SG = P1, No. 1; ΔE to the lowest computed polymorph = 0.000 eV/f.u.
1.0
7.318 0.259 -2.322
-2.361 9.207 -1.399
0.223 -0.058 9.480
Sr Mg Te O
6 1 8 22
Direct
0.296 0.029 0.108 Sr
0.701 0.965 0.886 Sr
0.889 0.087 0.321 Sr
0.145 0.940 0.683 Sr
0.316 0.543 0.663 Sr
0.745 0.463 0.389 Sr
0.311 0.386 0.317 Mg
0.970 0.387 0.116 Te
0.943 0.657 0.809 Te
0.967 0.237 0.770 Te
0.011 0.755 0.238 Te
0.507 0.706 0.065 Te
0.501 0.307 0.965 Te
0.512 0.800 0.462 Te
0.457 0.177 0.501 Te
0.978 0.538 0.643 O
0.060 0.439 0.342 O
0.465 0.598 0.392 O
0.494 0.384 0.538 O
0.801 0.208 0.098 O
0.190 0.771 0.880 O
0.701 0.153 0.704 O
0.317 0.847 0.307 O
0.398 0.806 0.615 O
0.617 0.172 0.383 O
0.024 0.157 0.599 O
0.996 0.870 0.410 O
0.449 0.331 0.154 O
0.572 0.684 0.888 O
0.583 0.909 0.120 O
0.416 0.103 0.896 O
0.975 0.886 0.109 O
0.024 0.091 0.879 O
0.238 0.175 0.329 O
0.830 0.786 0.703 O
0.728 0.657 0.196 O
0.297 0.373 0.847 O


no.,MP2020-corrected energy (eV per atom)
1,-6.50
2,-6.15
3,-6.16